Li4Mn13O24: relaxed, GGA+U.

Cell lengths 6.0302, 8.3441, 10.2911 Å; angles 113.57, 105.44, 90.47 degrees
Space group P1 (No. 1)
Symmetry-distinct sites (fractional):
Li: 0.0000 0.0000 0.0000 x1
Li: 0.1574 0.4201 0.3328 x1
Li: 0.4983 0.7563 0.0052 x1
Li: 0.6724 0.6695 0.3372 x1
Mn: 0.0837 0.7120 0.6699 x1
Mn: 0.0896 0.7139 0.1769 x1
Mn: 0.2495 0.8739 0.5037 x1
Mn: 0.2516 0.3865 0.0101 x1
Mn: 0.3367 0.3333 0.6692 x1
Mn: 0.4118 0.0385 0.8340 x1
Mn: 0.4126 0.0449 0.3280 x1
Mn: 0.5692 0.2033 0.1586 x1
Mn: 0.5831 0.7111 0.6678 x1
Mn: 0.7472 0.3784 0.4933 x1
Mn: 0.7563 0.3839 0.0089 x1
Mn: 0.9091 0.0438 0.3294 x1
Mn: 0.9267 0.5564 0.8460 x1
O: 0.0724 0.4809 0.6759 x1
O: 0.0801 0.4855 0.1708 x1
O: 0.0978 0.9583 0.1915 x1
O: 0.1188 0.9455 0.6704 x1
O: 0.2411 0.6483 0.5175 x1
O: 0.2439 0.6309 0.0265 x1
O: 0.2612 0.1037 0.4875 x1
O: 0.2778 0.1368 0.9988 x1
O: 0.3877 0.8096 0.3386 x1
O: 0.3893 0.7957 0.8172 x1
O: 0.4175 0.2700 0.3137 x1
O: 0.4229 0.2778 0.8453 x1
O: 0.5416 0.9402 0.6664 x1
O: 0.5640 0.9825 0.1738 x1
O: 0.5697 0.4332 0.1467 x1
O: 0.6027 0.4751 0.6608 x1
O: 0.7061 0.1276 0.9952 x1
O: 0.7221 0.1320 0.4667 x1
O: 0.7792 0.6246 0.5201 x1
O: 0.7941 0.6370 0.0209 x1
O: 0.8700 0.2768 0.3170 x1
O: 0.9228 0.7742 0.8198 x1
O: 0.9386 0.3369 0.8721 x1
O: 0.9538 0.8118 0.3432 x1

The magnetization is 47.00 μB/f.u. The calculated formation energy comes out at -2.0106 eV per atom.